The following is a PBE calculation of a geometry-optimized MgZr4P6O24 structure, from the Materials Project.

Unit cell a=8.9835 b=9.1111 c=15.4994 alpha=90.00 beta=125.11 gamma=90.00
Space group Pc (No. 7)
One atom of each set of equivalent atoms:
Mg1 0.0000 0.0286 0.0000
Zr1 0.1798 0.2228 0.2157
Zr2 0.4044 0.2221 0.9375
Zr3 0.6651 0.2767 0.6992
Zr4 0.8913 0.3050 0.4338
P1 0.0035 0.1459 0.6729
P2 0.0654 0.3451 0.9629
P3 0.2801 0.1293 0.4676
P4 0.4920 0.4972 0.8135
P5 0.5752 0.9998 0.3253
P6 0.7814 0.3621 0.1752
O1 0.0335 0.0110 0.1402
O2 0.0339 0.4991 0.4885
O3 0.0972 0.2321 0.0500
O4 0.1147 0.1433 0.4764
O5 0.1763 0.1867 0.7796
O6 0.2175 0.1765 0.3558
O7 0.2322 0.3463 0.9601
O8 0.3128 0.4149 0.2466
O9 0.3324 0.0334 0.9859
O10 0.4223 0.1132 0.2633
O11 0.4348 0.2308 0.5485
O12 0.4799 0.3980 0.8887
O13 0.5247 0.4118 0.7407
O14 0.5520 0.0875 0.9018
O15 0.5822 0.1010 0.7484
O16 0.6174 0.2689 0.0926
O17 0.6492 0.3928 0.3832
O18 0.7367 0.4719 0.6599
O19 0.7666 0.0779 0.3955
O20 0.8353 0.1445 0.6762
O21 0.8401 0.3185 0.2875
O22 0.8952 0.2854 0.8603
O23 0.9416 0.3291 0.1670
O24 0.9683 0.2503 0.5843

electronic total energy = -565.1 eV for the cell shown
energy of formation = -3.200 eV/atom